Lu4CoSn8 PBE relaxed; space group = Pmm2 (25); raw total energy = -4.83 eV/atom
1.0
0.0000 0.0000 4.3554
4.3972 0.0000 0.0000
0.0000 16.6605 0.0000
Sn Lu Co
8 4 1
Direct
0.2500 0.5000 0.2369 Sn
0.7500 0.5000 0.0637 Sn
0.7500 0.0000 0.5725 Sn
0.2500 0.5000 0.9374 Sn
0.2500 0.0000 0.4551 Sn
0.7500 0.5000 0.7548 Sn
0.7500 0.0000 0.2407 Sn
0.2500 0.0000 0.7458 Sn
0.2500 0.0000 0.1009 Lu
0.7500 0.5000 0.3974 Lu
0.2500 0.5000 0.6023 Lu
0.7500 0.0000 0.8997 Lu
0.2500 0.0000 0.3099 Co



Y5Sn4 PBE relaxed; space group = Pnma (62); raw total energy = -6.15 eV/atom
1.0
-8.0432 0.0000 0.0000
0.0000 0.0000 -8.1692
0.0000 -15.5810 0.0000
Y Sn
20 16
Direct
0.3669 0.8359 0.6217 Y
0.8669 0.6641 0.6217 Y
0.9769 0.8202 0.0981 Y
0.6331 0.1641 0.1217 Y
0.3669 0.8359 0.8783 Y
0.8021 0.4973 0.2500 Y
0.0231 0.1798 0.9019 Y
0.6331 0.1641 0.3783 Y
0.3021 0.0027 0.2500 Y
0.1331 0.3359 0.3783 Y
0.1979 0.5027 0.7500 Y
0.4769 0.6798 0.0981 Y
0.4769 0.6798 0.4019 Y
0.8669 0.6641 0.8783 Y
0.5231 0.3202 0.5981 Y
0.0231 0.1798 0.5981 Y
0.1331 0.3359 0.1217 Y
0.6979 0.9973 0.7500 Y
0.9769 0.8202 0.4019 Y
0.5231 0.3202 0.9019 Y
0.7918 0.4666 0.4585 Sn
0.3301 0.1471 0.7500 Sn
0.9352 0.1203 0.2500 Sn
0.0648 0.8797 0.7500 Sn
0.4352 0.3797 0.2500 Sn
0.2918 0.0334 0.0415 Sn
0.7082 0.9666 0.5415 Sn
0.7082 0.9666 0.9585 Sn
0.8301 0.3529 0.7500 Sn
0.2918 0.0334 0.4585 Sn
0.7918 0.4666 0.0415 Sn
0.2082 0.5334 0.5415 Sn
0.5648 0.6203 0.7500 Sn
0.1699 0.6471 0.2500 Sn
0.2082 0.5334 0.9585 Sn
0.6699 0.8529 0.2500 Sn



DyMn2SiGe PBE relaxed; space group = I4mm (107); raw total energy = -7.15 eV/atom
1.0
-1.9590 1.9590 5.2820
1.9590 -1.9590 5.2820
1.9590 1.9590 -5.2820
Dy Mn Ge Si
1 2 1 1
Direct
0.9975 0.9975 0.0000 Dy
0.2540 0.7540 0.5000 Mn
0.7540 0.2540 0.5000 Mn
0.6167 0.6167 0.0000 Ge
0.3777 0.3777 0.0000 Si



Na7Si5Sn4PO24 PBE relaxed; space group = P1 (1); raw total energy = -6.50 eV/atom
1.0
9.0687 -0.0027 0.0210
-4.5367 7.8583 -0.0091
0.0536 0.0040 22.8100
O Na Si Sn P
72 21 15 12 3
Direct
0.3572 0.8537 0.5778 O
0.1607 0.7060 0.4746 O
0.1715 0.4794 0.2561 O
0.1864 0.0240 0.5889 O
0.3521 0.5037 0.0771 O
0.7888 0.8328 0.1936 O
0.8062 0.8251 0.9108 O
0.8364 0.2904 0.5275 O
0.6898 0.5197 0.2446 O
0.0286 0.1868 0.9111 O
0.5439 0.7001 0.9711 O
0.3123 0.4821 0.7569 O
0.7038 0.1565 0.0298 O
0.9596 0.1687 0.3065 O
0.0392 0.2117 0.1907 O
0.4942 0.3588 0.4223 O
0.1730 0.2142 0.6920 O
0.4945 0.1211 0.6413 O
0.4821 0.1699 0.2434 O
0.4554 0.1636 0.5248 O
0.5120 0.6304 0.8611 O
0.8284 0.3084 0.2432 O
0.2129 0.0421 0.3085 O
0.1491 0.5035 0.5767 O
0.6260 0.5058 0.6414 O
0.5066 0.8777 0.3588 O
0.8820 0.3755 0.6421 O
0.3106 0.8301 0.2554 O
0.2136 0.1725 0.8081 O
0.1702 0.6901 0.7554 O
0.6895 0.1701 0.7442 O
0.8800 0.5038 0.1409 O
0.4813 0.3105 0.7442 O
0.9778 0.1625 0.5894 O
0.1213 0.4932 0.8588 O
0.7856 0.9586 0.6914 O
0.8270 0.7857 0.3085 O
0.1221 0.6309 0.3578 O
0.8542 0.3645 0.9231 O
0.3693 0.8782 0.8581 O
0.6292 0.1164 0.1390 O
0.8460 0.5007 0.4219 O
0.1610 0.4531 0.9742 O
0.1856 0.1648 0.0888 O
0.3011 0.4534 0.4723 O
0.4557 0.2927 0.0251 O
0.3692 0.4884 0.3616 O
0.5461 0.8381 0.4744 O
0.8410 0.5407 0.0242 O
0.1746 0.1936 0.4109 O
0.9590 0.7884 0.8086 O
0.7045 0.5432 0.5246 O
0.2964 0.8387 0.9752 O
0.5025 0.8646 0.0766 O
0.5006 0.1535 0.9229 O
0.8316 0.0403 0.8066 O
0.4943 0.6414 0.5768 O
0.8127 0.9710 0.4112 O
0.0267 0.8397 0.4110 O
0.5197 0.8275 0.7563 O
0.1614 0.9734 0.9112 O
0.0402 0.8281 0.6920 O
0.6408 0.5060 0.9223 O
0.6326 0.1442 0.4223 O
0.9827 0.8182 0.0887 O
0.4895 0.3656 0.1421 O
0.1475 0.6454 0.0777 O
0.5176 0.6875 0.2570 O
0.8368 0.8131 0.5888 O
0.8289 0.5199 0.7445 O
0.8312 0.0297 0.0895 O
0.1730 0.9599 0.1922 O
0.2973 0.9674 0.0829 Na
0.0000 0.6340 0.2502 Na
0.0352 0.3358 0.0837 Na
0.9994 0.3656 0.7501 Na
0.6674 0.9679 0.5833 Na
0.3664 0.0004 0.7503 Na
0.6727 0.3329 0.3339 Na
0.3358 0.6649 0.1662 Na
0.9701 0.6675 0.9169 Na
0.6348 0.6343 0.7493 Na
0.9955 0.9976 0.0000 Na
0.6350 0.9998 0.2508 Na
0.3313 0.2980 0.9172 Na
0.3657 0.3654 0.2490 Na
0.3325 0.0299 0.4167 Na
0.6673 0.3275 0.8337 Na
0.7020 0.6683 0.4171 Na
0.3334 0.6670 0.6667 Na
0.0326 0.6996 0.5833 Na
0.9978 0.0018 0.4996 Na
0.3006 0.3326 0.5839 Na
0.9994 0.7091 0.7503 Si
0.0398 0.6637 0.4165 Si
0.9998 0.2901 0.2496 Si
0.9594 0.3330 0.5837 Si
0.2922 0.2920 0.7501 Si
0.3760 0.0435 0.5829 Si
0.7087 0.7093 0.2502 Si
0.2913 0.0006 0.2502 Si
0.9550 0.6261 0.0827 Si
0.6279 0.9615 0.4166 Si
0.6661 0.6240 0.5828 Si
0.0383 0.3714 0.9167 Si
0.3776 0.3374 0.0831 Si
0.7087 0.9998 0.7503 Si
0.3370 0.9596 0.9171 Si
0.6745 0.3323 0.4817 Sn
0.9996 0.0030 0.8518 Sn
0.9964 0.0000 0.3516 Sn
0.3315 0.6686 0.8153 Sn
0.6671 0.3335 0.6848 Sn
0.3315 0.6631 0.0182 Sn
0.9997 0.9999 0.6486 Sn
0.6676 0.3375 0.1849 Sn
0.9992 0.9964 0.1484 Sn
0.3338 0.6695 0.5181 Sn
0.3315 0.6684 0.3151 Sn
0.6667 0.3291 0.9818 Sn
0.3309 0.3743 0.4168 P
0.6247 0.6695 0.9168 P
0.6669 0.0402 0.0835 P



Li2SnB2O6 PBE relaxed; space group = P2_1 (4); offset from the most stable computed form = 0.0000 eV/atom; raw total energy = -6.76 eV/atom
1.0
-2.0880 8.6158 -1.4398
-4.0611 -0.4401 3.2558
5.6655 2.7727 8.3758
O Li Sn B
24 8 4 8
Direct
0.1581 0.6519 0.6441 O
0.5510 0.9295 0.3378 O
0.8010 0.5506 0.5777 O
0.8979 0.3679 0.8697 O
0.3078 0.0236 0.5957 O
0.9842 0.0245 0.0950 O
0.3010 0.4494 0.4223 O
0.8078 0.9764 0.4043 O
0.1531 0.4959 0.1022 O
0.6889 0.1783 0.6810 O
0.6581 0.3481 0.3559 O
0.3486 0.3462 0.8195 O
0.1889 0.8217 0.3190 O
0.3979 0.6321 0.1303 O
0.8431 0.8240 0.8471 O
0.8486 0.6538 0.1805 O
0.3431 0.1760 0.1529 O
0.2216 0.9873 0.9276 O
0.5364 0.5378 0.5954 O
0.7216 0.0127 0.0724 O
0.6531 0.5041 0.8978 O
0.4842 0.9755 0.9050 O
0.0364 0.4622 0.4046 O
0.0510 0.0705 0.6622 O
0.8432 0.9464 0.6100 Li
0.4842 0.5785 0.3384 Li
0.0282 0.0549 0.8489 Li
0.9586 0.3881 0.0674 Li
0.5282 0.9451 0.1511 Li
0.4586 0.6119 0.9326 Li
0.9842 0.4215 0.6616 Li
0.3432 0.0536 0.3900 Li
0.8302 0.5956 0.3764 Sn
0.3302 0.4044 0.6236 Sn
0.6945 0.1162 0.8780 Sn
0.1945 0.8838 0.1220 Sn
0.2995 0.4263 0.1285 B
0.1710 0.5803 0.3801 B
0.3508 0.1046 0.8816 B
0.6687 0.0783 0.3658 B
0.8508 0.8954 0.1184 B
0.7995 0.5737 0.8715 B
0.6710 0.4197 0.6199 B
0.1687 0.9217 0.6342 B



Pm2MgSe4 PBE relaxed; space group = Pnma (62); offset from the most stable computed form = 0.0046 eV/atom; raw total energy = -5.25 eV/atom
1.0
6.9386 0.0000 0.0000
0.0000 8.4932 0.0000
0.0000 0.0000 14.5241
Mg Pm Se
4 8 16
Direct
0.4181 0.7500 0.4076 Mg
0.5819 0.2500 0.5924 Mg
0.0819 0.7500 0.9076 Mg
0.9181 0.2500 0.0924 Mg
0.0014 0.7500 0.2335 Pm
0.9986 0.2500 0.7665 Pm
0.4986 0.7500 0.7335 Pm
0.5014 0.2500 0.2665 Pm
0.0000 0.0000 0.5000 Pm
0.5000 0.0000 0.0000 Pm
0.0000 0.5000 0.5000 Pm
0.5000 0.5000 0.0000 Pm
0.7548 0.4884 0.6687 Se
0.2541 0.7500 0.5699 Se
0.2845 0.2500 0.0920 Se
0.2452 0.5116 0.3313 Se
0.2452 0.9884 0.3313 Se
0.7548 0.0116 0.6687 Se
0.2459 0.7500 0.0699 Se
0.7541 0.2500 0.9301 Se
0.7845 0.7500 0.4080 Se
0.7155 0.7500 0.9080 Se
0.7452 0.0116 0.1687 Se
0.7459 0.2500 0.4301 Se
0.2548 0.5116 0.8313 Se
0.7452 0.4884 0.1687 Se
0.2155 0.2500 0.5920 Se
0.2548 0.9884 0.8313 Se



Pr2TiO5 PBE relaxed; space group = Pnma (62); raw total energy = -8.60 eV/atom
1.0
3.9004 0.0000 0.0000
0.0000 10.9514 0.0000
0.0000 0.0000 11.5245
Ti O Pr
4 20 8
Direct
0.7500 0.8120 0.3749 Ti
0.7500 0.3120 0.1251 Ti
0.2500 0.1880 0.6251 Ti
0.2500 0.6880 0.8749 Ti
0.2500 0.2252 0.4643 O
0.2500 0.7740 0.7300 O
0.2500 0.4916 0.3974 O
0.7500 0.7381 0.8787 O
0.7500 0.2260 0.2700 O
0.2500 0.7252 0.0357 O
0.2500 0.2740 0.7700 O
0.2500 0.2619 0.1213 O
0.2500 0.7619 0.3787 O
0.7500 0.7260 0.2300 O
0.2500 0.5302 0.8357 O
0.7500 0.2381 0.6213 O
0.7500 0.2748 0.9643 O
0.7500 0.5084 0.6026 O
0.7500 0.7748 0.5357 O
0.7500 0.9698 0.3357 O
0.2500 0.0302 0.6643 O
0.7500 0.4698 0.1643 O
0.7500 0.0084 0.8974 O
0.2500 0.9916 0.1026 O
0.2500 0.1023 0.2804 Pr
0.2500 0.1368 0.9419 Pr
0.2500 0.6368 0.5581 Pr
0.7500 0.8977 0.7196 Pr
0.7500 0.3632 0.4419 Pr
0.7500 0.3977 0.7804 Pr
0.2500 0.6023 0.2196 Pr
0.7500 0.8632 0.0581 Pr



RbCuSb2H2Se4O PBE relaxed; space group = Pnma (62); raw total energy = -4.15 eV/atom
1.0
4.1170 0.0000 0.0000
0.0000 11.3664 0.0000
0.0000 0.0000 21.4218
Sb Cu H Se O Rb
8 4 8 16 4 4
Direct
0.2500 0.3623 0.7621 Sb
0.7500 0.1377 0.2621 Sb
0.7500 0.9658 0.0816 Sb
0.2500 0.0342 0.9184 Sb
0.7500 0.6377 0.2379 Sb
0.7500 0.4658 0.4184 Sb
0.2500 0.8623 0.7379 Sb
0.2500 0.5342 0.5816 Sb
0.7500 0.5937 0.7258 Cu
0.2500 0.9063 0.2258 Cu
0.2500 0.4063 0.2742 Cu
0.7500 0.0937 0.7742 Cu
0.9334 0.5962 0.0718 H
0.5666 0.5962 0.0718 H
0.0666 0.4038 0.9282 H
0.9334 0.0962 0.4282 H
0.4334 0.9038 0.5718 H
0.5666 0.0962 0.4282 H
0.4334 0.4038 0.9282 H
0.0666 0.9038 0.5718 H
0.2500 0.5750 0.3479 Se
0.7500 0.7861 0.6618 Se
0.2500 0.0860 0.7092 Se
0.7500 0.6400 0.4991 Se
0.2500 0.0750 0.1521 Se
0.7500 0.9250 0.8479 Se
0.2500 0.7139 0.1618 Se
0.7500 0.4250 0.6521 Se
0.7500 0.2861 0.8382 Se
0.2500 0.3600 0.5009 Se
0.7500 0.1400 0.0009 Se
0.2500 0.2139 0.3382 Se
0.7500 0.9140 0.2908 Se
0.2500 0.8600 0.9991 Se
0.2500 0.5860 0.7908 Se
0.7500 0.4140 0.2092 Se
0.7500 0.0592 0.4501 O
0.2500 0.4408 0.9501 O
0.2500 0.9408 0.5499 O
0.7500 0.5592 0.0499 O
0.7500 0.6534 0.9192 Rb
0.2500 0.8466 0.4192 Rb
0.2500 0.3466 0.0808 Rb
0.7500 0.1534 0.5808 Rb



Mg6TiSnO8 PBE relaxed; space group = P4/mmm (123); offset from the most stable computed form = 0.0207 eV/atom; raw total energy = -6.01 eV/atom
1.0
-0.7121 7.3706 5.0496
-4.4025 0.0198 -0.6498
-0.5456 -2.5320 3.6188
Mg O Sn Ti
6 8 1 1
Direct
0.7423 0.0000 0.5000 Mg
0.2577 0.0000 0.5000 Mg
0.7423 0.5000 0.0000 Mg
0.2577 0.5000 0.0000 Mg
0.5000 0.5000 0.5000 Mg
0.0000 0.5000 0.5000 Mg
0.5000 0.5000 0.0000 O
0.2505 0.5000 0.5000 O
0.2669 0.0000 0.0000 O
0.5000 0.0000 0.5000 O
0.7331 0.0000 0.0000 O
0.7495 0.5000 0.5000 O
0.0000 0.5000 0.0000 O
0.0000 0.0000 0.5000 O
0.0000 0.0000 0.0000 Sn
0.5000 0.0000 0.0000 Ti